Entry 1:
# BaNb2Fe4O12, optimized geometry, DFT PBE with a Hubbard U
data_BaNb2Fe4O12
_cell_length_a 10.136
_cell_length_b 10.136
_cell_length_c 8.945
_cell_angle_alpha 90.00
_cell_angle_beta 90.00
_cell_angle_gamma 90.00
_symmetry_space_group_name_H-M 'I 4/m'
_symmetry_Int_Tables_number 87
_symmetry_space_group_name_Hall '-I 4'
loop_
_atom_site_label
_atom_site_type_symbol
_atom_site_fract_x
_atom_site_fract_y
_atom_site_fract_z
_atom_site_occupancy
Ba1 Ba 0.000 0.000 0.216 1
Nb1 Nb 0.142 0.658 0.500 1
Fe1 Fe 0.153 0.672 0.167 1
O1 O 0.039 0.331 0.169 1
O2 O 0.048 0.339 0.500 1
O3 O 0.151 0.800 0.000 1
O4 O 0.157 0.802 0.333 1
# - V: 919.02 Å³ per cell
# - Calculated total energy: -7.477 eV per atom

=====

Entry 2:
# KHoW2O8, optimized geometry, DFT PBE with a Hubbard U
data_KHoW2O8
_cell_length_a 10.891
_cell_length_b 10.543
_cell_length_c 7.474
_cell_angle_alpha 90.00
_cell_angle_beta 130.33
_cell_angle_gamma 90.00
_symmetry_space_group_name_H-M 'C 1 2/c 1'
_symmetry_Int_Tables_number 15
_symmetry_space_group_name_Hall '-C 2yc'
loop_
_atom_site_label
_atom_site_type_symbol
_atom_site_fract_x
_atom_site_fract_y
_atom_site_fract_z
_atom_site_occupancy
K1 K 0.000 0.203 0.250 1
Ho1 Ho 0.000 0.224 0.750 1
W1 W 0.197 0.496 0.722 1
O1 O 0.020 0.389 0.967 1
O2 O 0.128 0.087 0.686 1
O3 O 0.190 0.431 0.445 1
O4 O 0.217 0.157 0.122 1
# - V: 654.21 Å³ per cell
# - Calculated total energy: -7.419 eV per atom

=====

It is found that the total energy after the MP2020 corrections values, taken in the order of the records, are -8.3860, -8.6162 eV/atom.
It is found that the energy of formation from the pure elements values, taken in the order of the records, are -2.31, -2.68 eV per atom.